Entry 1:
First-principles (PBE+U) data for a relaxed structure of Cs3NiF7, as listed in Materials Project.

Results
Symmetry: P4/mbm, No. 127
ΔH_f (0 K) in kcal/mol of atoms: -56.9
E (MP2020) in eV per atom: -4.456

Cell: 8.4772 8.4772 6.2664 Å, 90.00 90.00 90.00°
Last column: nearest neighbours and their distance in Å.
Fractional coordinates of all 22 atoms:
F 0.3939 0.8939 0.7948  1 Ni 1.81
Ni 0.0000 0.5000 0.0000  6 F 1.81
F 0.1061 0.3939 0.7948  1 Ni 1.81
F 0.1061 0.3939 0.2052  1 Ni 1.81
F 0.8494 0.3494 0.0000  1 Ni 1.81
F 0.6061 0.1061 0.2052  1 Ni 1.81
Cs 0.6930 0.8070 0.5000  10 F 3.04-3.22
F 0.0000 0.0000 0.5000  6 Cs 3.07-3.13
Cs 0.5000 0.5000 0.0000  6 F 3.13-3.23
Cs 0.3070 0.1930 0.5000  10 F 3.04-3.22
F 0.1506 0.6506 0.0000  1 Ni 1.81
F 0.8939 0.6061 0.2052  1 Ni 1.81
Cs 0.8070 0.3070 0.5000  10 F 3.04-3.22
F 0.8939 0.6061 0.7948  1 Ni 1.81
F 0.3939 0.8939 0.2052  1 Ni 1.81
Ni 0.5000 0.0000 0.0000  6 F 1.81
F 0.6061 0.1061 0.7948  1 Ni 1.81
F 0.6506 0.8494 0.0000  1 Ni 1.81
F 0.5000 0.5000 0.5000  6 Cs 3.07-3.13
F 0.3494 0.1506 0.0000  1 Ni 1.81
Cs 0.0000 0.0000 0.0000  6 F 3.13-3.23
Cs 0.1930 0.6930 0.5000  10 F 3.04-3.22

=====

Entry 2:
First-principles (PBE+U) data for a relaxed structure of Li3V3P8O29, as listed in Materials Project.

Results
Symmetry: P1, No. 1
ΔH_f (0 K) in kcal/mol of atoms: -58.3
Distance to the lowest polymorph of the same formula in kJ per mole of atoms: 0.6
E (MP2020) in eV per atom: -7.638

Cell: 9.7366 9.7495 14.3838 Å, 89.63 89.55 60.07°
Last column: nearest neighbours and their distance in Å.
Fractional coordinates of all 86 atoms:
P 0.7808 0.9078 0.1595  4 O 1.49-1.60
P 0.0844 0.6927 0.8420  4 O 1.49-1.61
O 0.7989 0.1984 0.7506  2 P 1.61
V 0.5695 0.4322 0.2486  6 O 1.85-1.94
O 0.3395 0.1847 0.1812  1 P 1.59
O 0.6562 0.6785 0.9689  1 P 1.48
O 0.5138 0.6721 0.8237  1 P 1.59
Li 0.3248 0.9098 0.4368  3 O 1.94-2.06
O 0.6560 0.0803 0.8347  1 P 1.56
P 0.2246 0.6847 0.3371  4 O 1.51-1.62
O 0.7893 0.2197 0.5762  1 P 1.47
O 0.0810 0.5362 0.8290  1 P 1.56
O 0.4810 0.3365 0.1771  1 P 1.57
O 0.6562 0.6670 0.4709  1 P 1.48
O 0.2240 0.7712 0.4238  1 P 1.51
O 0.6192 0.4632 0.6772  1 P 1.57
O 0.0069 0.7950 0.7488  2 P 1.61-1.62
V 0.4365 0.0029 0.2490  6 O 1.82-1.94
O 0.7944 0.0067 0.4207  1 P 1.48
O 0.1866 0.4773 0.1831  1 P 1.57
O 0.9149 0.3468 0.6718  1 P 1.55
O 0.5411 0.0777 0.3282  1 P 1.55
O 0.9170 0.7350 0.1716  1 P 1.55
O 0.7905 0.1978 0.9269  1 P 1.48
Li 0.2234 0.6799 0.5462  2 O 1.90-1.97
O 0.6709 0.8172 0.8238  1 P 1.57
V 0.9991 0.5604 0.2532  6 O 1.87-1.91
Li 0.3197 0.7725 0.9484  2 O 1.92-1.93
O 0.7975 0.0050 0.2436  2 P 1.60-1.63
O 0.3468 0.9162 0.1724  1 P 1.56
O 0.1875 0.3332 0.6819  1 P 1.56
O 0.0736 0.3801 0.3322  1 P 1.55
O 0.5396 0.3780 0.8289  1 P 1.58
P 0.3177 0.9060 0.6551  4 O 1.48-1.60
P 0.6615 0.6676 0.3678  4 O 1.48-1.58
O 0.3820 0.5292 0.3243  1 P 1.54
P 0.3312 0.3365 0.6355  4 O 1.48-1.59
O 0.7911 0.9766 0.0687  1 P 1.49
O 0.2269 0.7973 0.0701  1 P 1.49
Li 0.9817 0.0502 0.0064  2 O 1.90-2.05
O 0.0034 0.7865 0.5749  1 P 1.48
O 0.9960 0.2074 0.0759  1 P 1.48
O 0.9250 0.4574 0.1729  1 P 1.55
O 0.2620 0.0848 0.3375  1 P 1.57
O 0.3277 0.3500 0.5329  1 P 1.48
V 0.0000 0.4355 0.7523  6 O 1.88-1.91
O 0.7431 0.3449 0.1695  1 P 1.56
O 0.9214 0.6162 0.6728  1 P 1.55
P 0.9206 0.7746 0.6589  4 O 1.48-1.62
O 0.0856 0.2580 0.8322  1 P 1.55
Li 0.7700 0.9074 0.9470  2 O 1.93
O 0.3313 0.4842 0.6818  1 P 1.59
O 0.5107 0.8186 0.3284  1 P 1.58
O 0.8103 0.6640 0.3217  1 P 1.57
O 0.4672 0.6187 0.1705  1 P 1.54
O 0.3827 0.0795 0.8225  1 P 1.55
P 0.6652 0.6707 0.8658  4 O 1.48-1.59
O 0.2003 0.0085 0.7378  2 P 1.60-1.63
P 0.3337 0.3363 0.1345  4 O 1.48-1.59
O 0.2002 0.7955 0.2475  2 P 1.62
O 0.6597 0.5231 0.3205  1 P 1.58
O 0.4808 0.1854 0.6768  1 P 1.58
O 0.9950 0.7908 0.9233  1 P 1.49
V 0.4416 0.5571 0.7533  6 O 1.85-1.97
O 0.2602 0.6560 0.8404  1 P 1.56
O 0.2487 0.9720 0.5629  1 P 1.48
P 0.7813 0.3059 0.6613  4 O 1.47-1.61
O 0.4767 0.9043 0.6739  1 P 1.57
P 0.3124 0.7776 0.1592  4 O 1.49-1.62
V 0.5666 0.9988 0.7444  6 O 1.85-1.95
P 0.6961 0.0846 0.3381  4 O 1.48-1.63
O 0.0848 0.6521 0.3351  1 P 1.55
O 0.6539 0.2606 0.3299  1 P 1.56
O 0.0076 0.1905 0.4257  1 P 1.48
O 0.7456 0.9126 0.6674  1 P 1.56
Li 0.9193 0.0743 0.4857  3 O 1.87-1.93
P 0.6974 0.2151 0.8427  4 O 1.48-1.61
O 0.0045 0.1949 0.2505  2 P 1.61
P 0.9199 0.3019 0.1601  4 O 1.48-1.61
P 0.2220 0.0835 0.8339  4 O 1.49-1.63
O 0.8112 0.5232 0.8218  1 P 1.56
O 0.2096 0.9933 0.9142  1 P 1.49
O 0.6206 0.9110 0.1753  1 P 1.56
P 0.0831 0.2169 0.3431  4 O 1.48-1.61
O 0.3433 0.7355 0.6671  1 P 1.56
O 0.3315 0.3339 0.0318  1 P 1.48

=====

Entry 3:
First-principles (PBE+U) data for a relaxed structure of MnOF, as listed in Materials Project.

Results
Symmetry: P2/m, No. 10
ΔH_f (0 K) in kcal/mol of atoms: -53.9
E (MP2020) in eV per atom: -7.679

Cell: 3.0751 4.7974 18.9770 Å, 84.48 90.00 90.00°
Last column: nearest neighbours and their distance in Å.
Fractional coordinates of all 24 atoms:
Mn 0.0000 0.9775 0.3758  2 O 1.90, 4 F 2.05
O 0.0000 0.7319 0.6995  3 Mn 1.90-1.96
F 0.5000 0.1724 0.4225  3 Mn 2.05-2.25
F 0.5000 0.8770 0.8319  3 Mn 2.07-2.31
O 0.0000 0.3135 0.5491  3 Mn 1.90-1.97
F 0.0000 0.2609 0.0495  3 Mn 2.09
F 0.0000 0.7391 0.9505  3 Mn 2.09
O 0.0000 0.3620 0.7983  3 Mn 1.88-1.98
O 0.5000 0.7566 0.0770  3 Mn 1.95-2.00
Mn 0.5000 0.5522 0.7492  4 O 1.96-1.98
Mn 0.0000 0.0225 0.6242  2 O 1.90, 4 F 2.05
Mn 0.5000 0.5000 0.5000  4 O 1.97
O 0.0000 0.6380 0.2017  3 Mn 1.88-1.98
O 0.0000 0.6865 0.4509  3 Mn 1.90-1.97
Mn 0.5000 0.5000 0.0000  2 O 2.00, 4 F 2.09
Mn 0.0000 0.0907 0.8765  3 O 1.88-1.95, 3 F 2.07-2.09
O 0.0000 0.2681 0.3005  3 Mn 1.90-1.96
F 0.5000 0.8276 0.5775  3 Mn 2.05-2.25
F 0.5000 0.1230 0.1681  3 Mn 2.07-2.31
F 0.5000 0.7867 0.3276  3 Mn 2.05-2.29
O 0.5000 0.2434 0.9230  3 Mn 1.95-2.00
Mn 0.0000 0.9093 0.1235  3 O 1.88-1.95, 3 F 2.07-2.09
Mn 0.5000 0.4478 0.2508  4 O 1.96-1.98
F 0.5000 0.2133 0.6724  3 Mn 2.05-2.29

=====

Entry 4:
First-principles (PBE+U) data for a relaxed structure of MgVOF2, as listed in Materials Project.

Results
Symmetry: P1, No. 1
ΔH_f (0 K) in kcal/mol of atoms: -65.9
Distance to the lowest polymorph of the same formula in kJ per mole of atoms: 6.7
E (MP2020) in eV per atom: -6.750

Cell: 4.1238 5.4993 3.1616 Å, 72.91 90.00 68.07°
Last column: nearest neighbours and their distance in Å.
Fractional coordinates of all 5 atoms:
V 0.0013 0.9986 0.0037  2 O 2.12, 4 F 2.21-2.22
O 0.4522 0.0972 0.9532  2 Mg 1.98, 2 V 2.12
F 0.1618 0.6776 0.6672  2 V 2.21-2.22, 2 Mg 2.24-2.28
Mg 0.3293 0.3440 0.3271  2 O 1.98, 2 F 2.06-2.07
F 0.8410 0.3202 0.3404  2 Mg 2.06-2.07, 2 V 2.22

=====

Entry 5:
First-principles (PBE+U) data for a relaxed structure of Mn2NbFe3P6O24, as listed in Materials Project.

Results
Symmetry: R3, No. 146
ΔH_f (0 K) in kcal/mol of atoms: -58.1
E (MP2020) in eV per atom: -8.215

Cell: 8.7057 8.7057 8.7057 Å, 59.96 59.96 59.96°
Last column: nearest neighbours and their distance in Å.
Fractional coordinates of all 36 atoms:
O 0.4131 0.7628 0.5598  1 P 1.55
O 0.6874 0.8865 0.4955  1 P 1.52
Mn 0.5006 0.5006 0.5006  6 O 2.26
Fe 0.1470 0.1470 0.1470  6 O 1.94-2.11
O 0.7628 0.5598 0.4131  1 P 1.55
Fe 0.6445 0.6445 0.6445  6 O 1.96-2.08
O 0.1154 0.5075 0.3084  1 P 1.52
O 0.5598 0.4131 0.7628  1 P 1.55
P 0.9575 0.5383 0.2553  4 O 1.52-1.60
O 0.8865 0.4955 0.6874  1 P 1.52
O 0.6162 0.8125 0.9942  1 P 1.59
O 0.3877 0.1869 0.9967  1 P 1.52
O 0.5878 0.2367 0.4449  1 P 1.54
O 0.2367 0.4449 0.5878  1 P 1.54
O 0.9942 0.6162 0.8125  1 P 1.59
O 0.8125 0.9942 0.6162  1 P 1.59
O 0.3084 0.1154 0.5075  1 P 1.52
O 0.1869 0.9967 0.3877  1 P 1.52
P 0.2553 0.9575 0.5383  4 O 1.52-1.60
P 0.4509 0.7471 0.0446  4 O 1.52-1.59
O 0.5075 0.3084 0.1154  1 P 1.52
P 0.0446 0.4509 0.7471  4 O 1.52-1.59
O 0.9366 0.7366 0.0885  1 P 1.60
O 0.2633 0.9135 0.0603  1 P 1.55
O 0.9135 0.0603 0.2633  1 P 1.55
O 0.0603 0.2633 0.9135  1 P 1.55
O 0.4449 0.5878 0.2367  1 P 1.54
Fe 0.3550 0.3550 0.3550  6 O 1.95-2.11
O 0.0885 0.9366 0.7366  1 P 1.60
Nb 0.8560 0.8560 0.8560  6 O 1.94-2.06
O 0.7366 0.0885 0.9366  1 P 1.60
O 0.9967 0.3877 0.1869  1 P 1.52
P 0.5383 0.2553 0.9575  4 O 1.52-1.60
O 0.4955 0.6874 0.8865  1 P 1.52
Mn 0.0047 0.0047 0.0047  6 O 2.20-2.36
P 0.7471 0.0446 0.4509  4 O 1.52-1.59